Density functional theory data (PBE-GGA) for a geometry-optimized ErFe10Mo2 structure.

a = 4.740 Å, b = 8.521 Å, c = 8.548 Å
α = 90.00°, β = 90.00°, γ = 90.00°
Space group Immm (No. 71)
Symmetry-distinct sites (fractional):
1 Er 0.000 0.000 0.000 [2 per cell]
2 Fe 0.000 0.282 0.500 [4 per cell]
3 Fe 0.000 0.359 0.000 [4 per cell]
4 Fe 0.000 0.500 0.278 [4 per cell]
5 Fe 0.250 0.250 0.250 [8 per cell]
6 Mo 0.000 0.000 0.357 [4 per cell]

## Properties
DFT formation energy in meV per atom: -14
M_tot in μB per atom: 1.4468